No. 1
Computed, not measured: crystalline CaH4N2 at its relaxed geometry at the meta-GGA r2SCAN level of DFT.

Unit cell a=7.2337 b=6.2834 c=6.3432 alpha=69.85 beta=90.00 gamma=90.00
Last column: nearest neighbours and their distance in Å.
Element x y z (fractional)
H  0.9131  0.8607  0.5344  1 N 1.02
H  0.7647  0.6603  0.6282  1 N 1.02
H  0.4131  0.6393  0.4656  1 N 1.02
H  0.7353  0.1603  0.6282  1 N 1.02
H  0.1852  0.7555  0.1125  1 N 1.02
H  0.0298  0.8856  0.9313  1 N 1.02
H  0.2647  0.8397  0.3718  1 N 1.02
H  0.0869  0.1393  0.4656  1 N 1.02
H  0.5869  0.3607  0.5344  1 N 1.02
H  0.5298  0.6144  0.0687  1 N 1.02
H  0.9702  0.1144  0.0687  1 N 1.02
H  0.8148  0.2445  0.8875  1 N 1.02
H  0.6852  0.7445  0.8875  1 N 1.02
H  0.3148  0.2555  0.1125  1 N 1.02
H  0.2353  0.3397  0.3718  1 N 1.02
H  0.4702  0.3856  0.9313  1 N 1.02
N  0.8597  0.7242  0.5025  2 H 1.02
N  0.6403  0.2242  0.5025  2 H 1.02
N  0.1157  0.7477  0.9747  2 H 1.02
N  0.8843  0.2523  0.0253  2 H 1.02
N  0.3597  0.7758  0.4975  2 H 1.02
N  0.6157  0.7523  0.0253  2 H 1.02
N  0.1403  0.2758  0.4975  2 H 1.02
N  0.3843  0.2477  0.9747  2 H 1.02
Ca  0.3771  0.9976  0.7503  6 N 2.46-2.58, 5 H 2.67-2.75
Ca  0.6229  0.0024  0.2497  6 N 2.46-2.58, 5 H 2.67-2.75
Ca  0.1229  0.4976  0.7503  6 N 2.46-2.58, 5 H 2.67-2.75
Ca  0.8771  0.5024  0.2497  6 N 2.46-2.58, 5 H 2.67-2.75

Summary:
Calculated formation energy = -0.690 eV per atom
Symmetry = P2_1/c
Magnetization = 0.0 μB/f.u.

---

No. 2
Computed, not measured: crystalline Ca16HN8 at its relaxed geometry at the meta-GGA r2SCAN level of DFT.

Unit cell a=7.2641 b=10.3104 c=14.6524 alpha=90.00 beta=90.00 gamma=90.00
Last column: nearest neighbours and their distance in Å.
Element x y z (fractional)
Ca  0.5000  0.0162  0.8590  3 N 2.41-2.42
Ca  0.5000  0.0095  0.3602  3 N 2.42-2.48, 1 H 2.70
Ca  0.0000  0.9880  0.6398  3 N 2.42-2.44
Ca  0.7806  0.7324  0.0001  3 N 2.43-2.44
Ca  0.0000  0.9838  0.3590  3 N 2.41-2.42
Ca  0.0000  0.9805  0.1420  3 N 2.43
Ca  0.7804  0.7670  0.7487  3 N 2.44
Ca  0.7743  0.7610  0.2517  3 N 2.44-2.47, 1 H 2.67
Ca  0.7194  0.2676  0.5001  3 N 2.43-2.44
Ca  0.2257  0.7610  0.2517  3 N 2.44-2.47, 1 H 2.67
Ca  0.7743  0.7378  0.4970  3 N 2.43-2.47, 1 H 2.70
Ca  0.2804  0.2330  0.2487  3 N 2.44
Ca  0.7196  0.2330  0.2487  3 N 2.44
Ca  0.7257  0.2390  0.7517  3 N 2.44-2.47, 1 H 2.67
Ca  0.5000  0.4900  0.3880  3 N 2.43-2.49, 1 H 2.67
Ca  0.2194  0.7324  0.0001  3 N 2.43-2.44
Ca  0.2806  0.2676  0.5001  3 N 2.43-2.44
Ca  0.0000  0.5120  0.1100  3 N 2.43-2.45
Ca  0.5000  0.0195  0.6420  3 N 2.43
Ca  0.2743  0.2390  0.7517  3 N 2.44-2.47, 1 H 2.67
Ca  0.2743  0.2622  0.9970  3 N 2.43-2.47, 1 H 2.70
Ca  0.7257  0.2622  0.9970  3 N 2.43-2.47, 1 H 2.70
Ca  0.0000  0.5192  0.6075  3 N 2.43
Ca  0.2196  0.7670  0.7487  3 N 2.44
Ca  0.5000  0.4880  0.6100  3 N 2.43-2.45
Ca  0.0000  0.9905  0.8602  3 N 2.42-2.48, 1 H 2.70
Ca  0.5000  0.0120  0.1398  3 N 2.42-2.44
Ca  0.5000  0.4839  0.8890  3 N 2.43
Ca  0.0000  0.5161  0.3890  3 N 2.43
Ca  0.2257  0.7378  0.4970  3 N 2.43-2.47, 1 H 2.70
Ca  0.5000  0.4808  0.1075  3 N 2.43
Ca  0.0000  0.5100  0.8880  3 N 2.43-2.49, 1 H 2.67
H  0.0000  0.2517  0.8729  6 Ca 2.67-2.70
H  0.5000  0.7483  0.3729  6 Ca 2.67-2.70
N  0.0000  0.7542  0.6228  6 Ca 2.42-2.47
N  0.2512  0.9968  0.2510  6 Ca 2.42-2.44
N  0.5000  0.2494  0.8745  6 Ca 2.41-2.44
N  0.0000  0.7508  0.8743  6 Ca 2.44-2.49
N  0.0000  0.7506  0.3745  6 Ca 2.41-2.44
N  0.7512  0.0032  0.7510  6 Ca 2.42-2.44
N  0.7488  0.9968  0.2510  6 Ca 2.42-2.44
N  0.2489  0.4972  0.9981  6 Ca 2.43-2.45
N  0.0000  0.7462  0.1256  6 Ca 2.43-2.47
N  0.5000  0.2492  0.3743  6 Ca 2.44-2.49
N  0.2511  0.5028  0.4981  6 Ca 2.43-2.45
N  0.2488  0.0032  0.7510  6 Ca 2.42-2.44
N  0.7489  0.5028  0.4981  6 Ca 2.43-2.45
N  0.7511  0.4972  0.9981  6 Ca 2.43-2.45
N  0.5000  0.2458  0.1228  6 Ca 2.42-2.47
N  0.5000  0.2538  0.6256  6 Ca 2.43-2.47

Summary:
Calculated formation energy = -0.881 eV per atom
Symmetry = Pmn2_1
Magnetization = 0.0 μB/f.u.

---

No. 3
Computed, not measured: crystalline Ca2HN at its relaxed geometry at the meta-GGA r2SCAN level of DFT.

Unit cell a=7.1335 b=7.1335 c=7.1335 alpha=60.00 beta=60.00 gamma=60.00
Last column: nearest neighbours and their distance in Å.
Element x y z (fractional)
Ca  0.7141  0.2620  0.2620  3 N 2.41, 3 H 2.65
Ca  0.7380  0.7380  0.7380  3 N 2.41, 3 H 2.65
Ca  0.2620  0.2620  0.7141  3 N 2.41, 3 H 2.65
Ca  0.2859  0.7380  0.7380  3 N 2.41, 3 H 2.65
Ca  0.2620  0.2620  0.2620  3 N 2.41, 3 H 2.65
Ca  0.7380  0.2859  0.7380  3 N 2.41, 3 H 2.65
Ca  0.7380  0.7380  0.2859  3 N 2.41, 3 H 2.65
Ca  0.2620  0.7141  0.2620  3 N 2.41, 3 H 2.65
N  0.5000  0.5000  0.0000  6 Ca 2.41
N  0.5000  0.0000  0.5000  6 Ca 2.41
N  0.5000  0.5000  0.5000  6 Ca 2.41
N  0.0000  0.5000  0.5000  6 Ca 2.41
H  0.0000  0.5000  0.0000  6 Ca 2.65
H  0.0000  0.0000  0.0000  6 Ca 2.65
H  0.0000  0.0000  0.5000  6 Ca 2.65
H  0.5000  0.0000  0.0000  6 Ca 2.65

Summary:
Calculated formation energy = -0.946 eV per atom
Symmetry = Fd-3m
Magnetization = 0.0 μB/f.u.

---

No. 4
Computed, not measured: crystalline CaHN at its relaxed geometry at the meta-GGA r2SCAN level of DFT.

Unit cell a=3.7794 b=3.5281 c=3.7794 alpha=62.18 beta=55.65 gamma=62.18
Last column: nearest neighbours and their distance in Å.
Element x y z (fractional)
N  0.4584  0.5416  0.4584  1 H 1.03
H  0.6399  0.3601  0.6399  1 N 1.03
Ca  0.0517  0.9483  0.0517  5 N 2.31-2.55, 5 H 2.34-2.54

Summary:
Calculated formation energy = -0.893 eV per atom
Symmetry = I4mm
Magnetization = 0.0 μB/f.u.

---

No. 5
Computed, not measured: crystalline Ca2H2S2O9 at its relaxed geometry at the meta-GGA r2SCAN level of DFT.

Unit cell a=9.3526 b=9.3526 c=11.9858 alpha=50.36 beta=50.36 gamma=43.30
Last column: nearest neighbours and their distance in Å.
Element x y z (fractional)
H  0.8719  0.6519  0.6845  1 O 0.97
H  0.7957  0.8520  0.7025  1 O 0.97
H  0.3481  0.1281  0.3155  1 O 0.97
H  0.5877  0.4698  0.9143  1 O 0.97
H  0.1480  0.2043  0.2975  1 O 0.97
H  0.5302  0.4123  0.0857  1 O 0.97
S  0.2324  0.2735  0.7462  4 O 1.47-1.48
S  0.3949  0.7642  0.6959  4 O 1.46-1.48
S  0.8813  0.2914  0.1905  4 O 1.47-1.49
S  0.2358  0.6051  0.3041  4 O 1.46-1.48
S  0.7265  0.7676  0.2538  4 O 1.47-1.48
S  0.7086  0.1187  0.8095  4 O 1.47-1.49
Ca  0.1122  0.5591  0.9290  8 O 2.35-2.61
Ca  0.9854  0.3380  0.5547  8 O 2.34-2.62
Ca  0.4409  0.8878  0.0710  8 O 2.35-2.61
Ca  0.6620  0.0146  0.4453  8 O 2.34-2.62
Ca  0.9853  0.0147  0.0000  7 O 2.36-2.53
Ca  0.4770  0.5230  0.5000  8 O 2.38-2.63
O  0.5406  0.8268  0.2411  1 S 1.48
O  0.1890  0.1986  0.3575  2 H 0.97
O  0.0064  0.6629  0.3995  1 S 1.47
O  0.8903  0.1367  0.1798  1 S 1.47
O  0.3371  0.9936  0.6005  1 S 1.47
O  0.2600  0.7212  0.1388  1 S 1.48
O  0.0452  0.3306  0.7368  1 S 1.48
O  0.7653  0.5756  0.3935  1 S 1.47
O  0.1732  0.4594  0.7589  1 S 1.48
O  0.6338  0.6204  0.6651  1 S 1.46
O  0.2837  0.0756  0.8830  1 S 1.48
O  0.6428  0.3572  0.0000  2 H 0.97
O  0.6694  0.9548  0.2632  1 S 1.48
O  0.3209  0.7021  0.6630  1 S 1.48
O  0.9244  0.7163  0.1170  1 S 1.48
O  0.8633  0.1097  0.8202  1 S 1.47
O  0.7620  0.2822  0.3513  1 S 1.47
O  0.1106  0.2210  0.1442  1 S 1.49
O  0.2979  0.6791  0.3370  1 S 1.48
O  0.2788  0.7400  0.8612  1 S 1.48
O  0.7779  0.5168  0.0852  1 S 1.47
O  0.7790  0.8894  0.8558  1 S 1.49
O  0.7178  0.2380  0.6487  1 S 1.47
O  0.3796  0.3662  0.3349  1 S 1.46
O  0.4244  0.2347  0.6065  1 S 1.47
O  0.8014  0.8110  0.6425  2 H 0.97
O  0.4832  0.2221  0.9148  1 S 1.47

Summary:
Calculated formation energy = -2.127 eV per atom
Symmetry = C2
Magnetization = 0.0 μB/f.u.

---

No. 6
Computed, not measured: crystalline CaH6S4O16 at its relaxed geometry at the meta-GGA r2SCAN level of DFT.

Unit cell a=5.3646 b=7.7862 c=8.3259 alpha=87.97 beta=74.53 gamma=78.79
Last column: nearest neighbours and their distance in Å.
Element x y z (fractional)
H  0.6806  0.4725  0.8016  1 O 1.02
H  0.2616  0.0333  0.4026  1 O 1.00
H  0.7384  0.9667  0.5974  1 O 1.00
H  0.3194  0.5275  0.1984  1 O 1.02
H  0.7055  0.5263  0.3423  1 O 1.02
H  0.2945  0.4737  0.6577  1 O 1.02
O  0.7619  0.7594  0.6418  1 S 1.43
O  0.5115  0.3712  0.7280  1 S 1.47, 2 H 1.52-1.56
O  0.3376  0.8700  0.1119  1 S 1.45
O  0.2155  0.4611  0.1455  1 H 1.02
O  0.8469  0.4553  0.3924  1 H 1.02
O  0.0405  0.7581  0.8326  1 S 1.43
O  0.7845  0.5389  0.8545  1 H 1.02
O  0.2381  0.2406  0.3582  1 S 1.43
O  0.7210  0.8697  0.2121  1 S 1.45
O  0.6624  0.1300  0.8881  1 S 1.45
O  0.7105  0.0976  0.5905  1 H 1.00
O  0.9595  0.2419  0.1674  1 S 1.43
O  0.2895  0.9024  0.4095  1 H 1.00
O  0.4885  0.6288  0.2720  1 S 1.47, 2 H 1.52-1.56
O  0.2790  0.1303  0.7879  1 S 1.45
O  0.1531  0.5447  0.6076  1 H 1.02
Ca  0.0000  0.0000  0.0000  6 O 2.30-2.33
S  0.9318  0.6617  0.7334  4 O 1.43-1.54
S  0.0682  0.3383  0.2666  4 O 1.43-1.54
S  0.5318  0.1822  0.7581  4 O 1.45-1.55
S  0.4682  0.8178  0.2419  4 O 1.45-1.55

Summary:
Calculated formation energy = -1.481 eV per atom
Symmetry = P-1
Magnetization = 0.0 μB/f.u.

---

No. 7
Computed, not measured: crystalline CaH4SO6 at its relaxed geometry at the meta-GGA r2SCAN level of DFT.

Unit cell a=8.1306 b=8.1306 c=5.6570 alpha=80.69 beta=80.69 gamma=134.58
Last column: nearest neighbours and their distance in Å.
Element x y z (fractional)
O  0.3177  0.0846  0.5830  1 S 1.48
O  0.9154  0.6823  0.9170  1 S 1.48
O  0.1442  0.6883  0.5917  1 S 1.47
O  0.6883  0.1442  0.0917  1 S 1.47
O  0.6480  0.7813  0.9179  2 H 0.97-0.98
O  0.3117  0.8558  0.9083  1 S 1.47
O  0.8558  0.3117  0.4083  1 S 1.47
O  0.2187  0.3520  0.5821  2 H 0.97-0.98
O  0.6823  0.9154  0.4170  1 S 1.48
O  0.7813  0.6480  0.4179  2 H 0.97-0.98
O  0.0846  0.3177  0.0830  1 S 1.48
O  0.3520  0.2187  0.0821  2 H 0.97-0.98
H  0.2556  0.2499  0.0923  1 O 0.97
H  0.1549  0.3296  0.7603  1 O 0.98
H  0.3296  0.1549  0.2603  1 O 0.98
H  0.2499  0.2556  0.5923  1 O 0.97
H  0.6704  0.8451  0.7397  1 O 0.98
H  0.8451  0.6704  0.2397  1 O 0.98
H  0.7501  0.7444  0.4077  1 O 0.97
H  0.7444  0.7501  0.9077  1 O 0.97
Ca  0.6680  0.3320  0.7500  8 O 2.35-2.55
Ca  0.3320  0.6680  0.2500  8 O 2.35-2.55
S  0.1724  0.8276  0.7500  4 O 1.47-1.48
S  0.8276  0.1724  0.2500  4 O 1.47-1.48

Summary:
Calculated formation energy = -1.724 eV per atom
Symmetry = C2/c
Magnetization = 0.0 μB/f.u.

---

No. 8
Computed, not measured: crystalline CaH2Pd at its relaxed geometry at the meta-GGA r2SCAN level of DFT.

Unit cell a=3.7306 b=3.7306 c=3.4524 alpha=90.00 beta=90.00 gamma=90.00
Last column: nearest neighbours and their distance in Å.
Element x y z (fractional)
H  0.5000  0.0000  0.0000  2 Pd 1.87
H  0.0000  0.5000  0.0000  2 Pd 1.87
Ca  0.5000  0.5000  0.5000  8 H 2.54
Pd  0.0000  0.0000  0.0000  4 H 1.87

Summary:
Calculated formation energy = -0.601 eV per atom
Symmetry = P4/mmm
Magnetization = 0.0 μB/f.u.

---

Question: What is the formula in the fifth record?
Answer: Ca2H2S2O9

---

Question: Look up the calculated formation energy of the second one.
Answer: -0.881 eV per atom

---

Question: Which of these has the highest calculated formation energy?
Answer: CaH2Pd